Record 1
Density functional theory data (PBE with a Hubbard U) for a relaxed structure of Mg2TaWO6.

The structure in POSCAR format:
```
Mg2TaWO6
1.0
2.650 1.530 4.775
-2.650 1.530 4.775
0.000 -3.059 4.775
Mg Ta W O
2 1 1 6
direct
0.000 0.000 0.000 Mg
0.496 0.496 0.496 Mg
0.205 0.205 0.205 Ta
0.704 0.704 0.704 W
0.110 0.820 0.406 O
0.301 0.583 0.937 O
0.406 0.110 0.820 O
0.583 0.937 0.301 O
0.820 0.406 0.110 O
0.937 0.301 0.583 O
```

Output
The uncorrected energy comes out at -7.713 eV/atom. Its formation energy is -2.7987 eV/atom. The corrected total energy (MP2020 scheme) is -8.57 eV per atom. The value obtained for the polymorph energy (0 for the lowest one) is 0 meV per atom.

***

Record 2
Density functional theory data (PBE with a Hubbard U) for a relaxed structure of Li17Cr2O12.

The structure in POSCAR format:
```
Li17Cr2O12
1.0
5.477 0.000 0.000
-0.031 5.932 0.000
-0.004 -0.935 8.025
Li Cr O
17 2 12
direct
0.000 0.000 0.000 Li
0.005 0.996 0.495 Li
0.013 0.352 0.821 Li
0.151 0.942 0.760 Li
0.194 0.286 0.102 Li
0.202 0.617 0.451 Li
0.315 0.238 0.363 Li
0.334 0.593 0.729 Li
0.380 0.897 0.034 Li
0.493 0.854 0.316 Li
0.520 0.510 0.010 Li
0.652 0.456 0.287 Li
0.660 0.138 0.948 Li
0.676 0.764 0.587 Li
0.803 0.723 0.857 Li
0.829 0.101 0.238 Li
0.870 0.409 0.536 Li
0.008 0.675 0.162 Cr
0.503 0.180 0.654 Cr
0.144 0.695 0.919 O
0.164 0.997 0.220 O
0.204 0.336 0.584 O
0.327 0.529 0.234 O
0.336 0.174 0.888 O
0.354 0.877 0.580 O
0.649 0.182 0.434 O
0.657 0.473 0.731 O
0.707 0.847 0.080 O
0.807 0.017 0.740 O
0.849 0.356 0.086 O
0.867 0.678 0.398 O
```

Output
The uncorrected energy comes out at -5.266 eV/atom. Its formation energy is -2.0761 eV/atom. The corrected total energy (MP2020 scheme) is -5.66 eV per atom.

***

Record 3
Density functional theory data (PBE with a Hubbard U) for a relaxed structure of BaV2CuAg2O8.

The structure in POSCAR format:
```
BaV2CuAg2O8
1.0
5.479 0.000 0.000
-2.663 5.047 0.000
-0.123 -1.494 14.449
Ba V Cu Ag O
2 4 2 4 16
direct
0.033 0.044 0.251 Ba
0.967 0.956 0.749 Ba
0.341 0.682 0.873 V
0.357 0.716 0.375 V
0.643 0.284 0.625 V
0.659 0.318 0.127 V
0.000 0.000 0.000 Cu
0.000 0.000 0.500 Cu
0.311 0.624 0.588 Ag
0.330 0.668 0.090 Ag
0.670 0.332 0.910 Ag
0.689 0.376 0.412 Ag
0.078 0.762 0.913 O
0.148 0.417 0.419 O
0.260 0.360 0.896 O
0.266 0.966 0.415 O
0.285 0.181 0.601 O
0.299 0.663 0.257 O
0.323 0.079 0.081 O
0.355 0.705 0.756 O
0.645 0.295 0.244 O
0.677 0.921 0.919 O
0.701 0.337 0.743 O
0.715 0.819 0.399 O
0.734 0.034 0.585 O
0.740 0.640 0.104 O
0.852 0.583 0.581 O
0.922 0.238 0.087 O
```

Output
The uncorrected energy comes out at -6.236 eV/atom. Its formation energy is -1.9122 eV/atom. The corrected total energy (MP2020 scheme) is -6.87 eV per atom.

***

Record 4
Density functional theory data (PBE with a Hubbard U) for a relaxed structure of FeOF.

The structure in POSCAR format:
```
FeOF
1.0
4.785 0.000 0.000
0.000 3.061 0.000
-0.309 0.000 14.147
Fe O F
6 6 6
direct
0.000 0.000 0.000 Fe
0.005 0.000 0.666 Fe
0.435 0.500 0.838 Fe
0.492 0.500 0.529 Fe
0.566 0.500 0.161 Fe
0.985 0.000 0.333 Fe
0.179 0.500 0.604 O
0.195 0.500 0.947 O
0.284 0.000 0.773 O
0.695 0.000 0.571 O
0.705 0.000 0.238 O
0.820 0.500 0.063 O
0.194 0.500 0.275 F
0.301 0.000 0.432 F
0.310 0.000 0.112 F
0.689 0.000 0.901 F
0.790 0.500 0.738 F
0.813 0.500 0.403 F
```

Output
The uncorrected energy comes out at -5.986 eV/atom. Its formation energy is -2.0097 eV/atom. The corrected total energy (MP2020 scheme) is -7.12 eV per atom.

***

Record 5
Density functional theory data (PBE with a Hubbard U) for a relaxed structure of LiV2P2HO9.

The structure in POSCAR format:
```
LiV2P2HO9
1.0
6.478 0.000 0.000
0.000 6.780 0.000
-2.789 0.000 8.300
Li V P H O
2 4 4 2 18
direct
0.098 0.250 0.332 Li
0.902 0.750 0.668 Li
0.477 0.250 0.792 V
0.500 0.000 0.500 V
0.500 0.500 0.500 V
0.523 0.750 0.208 V
0.079 0.750 0.301 P
0.415 0.250 0.159 P
0.585 0.750 0.841 P
0.921 0.250 0.699 P
0.039 0.750 0.037 H
0.961 0.250 0.963 H
0.165 0.750 0.146 O
0.166 0.250 0.763 O
0.167 0.250 0.118 O
0.169 0.561 0.396 O
0.169 0.939 0.396 O
0.411 0.250 0.544 O
0.483 0.750 0.977 O
0.489 0.560 0.736 O
0.489 0.940 0.736 O
0.511 0.060 0.264 O
0.511 0.440 0.264 O
0.517 0.250 0.023 O
0.589 0.750 0.456 O
0.831 0.061 0.604 O
0.831 0.439 0.604 O
0.833 0.750 0.882 O
0.834 0.750 0.237 O
0.835 0.250 0.854 O
```

Output
The uncorrected energy comes out at -7.121 eV/atom. Its formation energy is -2.5050 eV/atom. The corrected total energy (MP2020 scheme) is -7.76 eV per atom.

***

Record 6
Density functional theory data (PBE with a Hubbard U) for a relaxed structure of Li2Zr7FeP12O48.

The structure in POSCAR format:
```
Li2Zr7FeP12O48
1.0
9.002 0.000 0.000
-0.014 9.051 0.000
-0.014 -0.022 12.578
Li Zr Fe P O
2 7 1 12 48
direct
0.000 0.000 0.000 Li
0.069 0.492 0.137 Li
0.034 0.254 0.693 Zr
0.034 0.754 0.435 Zr
0.037 0.678 0.928 Zr
0.533 0.755 0.695 Zr
0.534 0.684 0.191 Zr
0.536 0.187 0.937 Zr
0.536 0.256 0.432 Zr
0.033 0.179 0.202 Fe
0.173 0.115 0.455 P
0.173 0.826 0.169 P
0.245 0.970 0.817 P
0.324 0.469 0.812 P
0.379 0.327 0.171 P
0.395 0.615 0.456 P
0.674 0.115 0.672 P
0.682 0.829 0.958 P
0.751 0.972 0.310 P
0.824 0.466 0.309 P
0.888 0.611 0.669 P
0.900 0.318 0.966 P
0.103 0.221 0.537 O
0.104 0.708 0.091 O
0.117 0.982 0.137 O
0.119 0.153 0.342 O
0.121 0.787 0.281 O
0.131 0.954 0.481 O
0.138 0.885 0.894 O
0.149 0.066 0.743 O
0.207 0.317 0.165 O
0.223 0.372 0.742 O
0.224 0.628 0.462 O
0.226 0.570 0.883 O
0.339 0.863 0.751 O
0.343 0.815 0.161 O
0.344 0.130 0.460 O
0.346 0.069 0.887 O
0.421 0.374 0.886 O
0.422 0.490 0.147 O
0.424 0.563 0.741 O
0.437 0.283 0.281 O
0.439 0.454 0.479 O
0.446 0.222 0.088 O
0.449 0.659 0.345 O
0.462 0.720 0.540 O
0.604 0.217 0.588 O
0.616 0.721 0.040 O
0.622 0.159 0.784 O
0.630 0.953 0.648 O
0.631 0.784 0.846 O
0.635 0.989 0.983 O
0.651 0.068 0.380 O
0.654 0.872 0.239 O
0.719 0.627 0.660 O
0.723 0.562 0.237 O
0.729 0.310 0.973 O
0.729 0.364 0.379 O
0.845 0.130 0.665 O
0.848 0.070 0.238 O
0.849 0.876 0.383 O
0.855 0.824 0.967 O
0.920 0.566 0.380 O
0.931 0.379 0.235 O
0.933 0.450 0.647 O
0.941 0.651 0.783 O
0.953 0.478 0.997 O
0.954 0.280 0.853 O
0.963 0.717 0.590 O
0.968 0.206 0.045 O
```

Output
The uncorrected energy comes out at -7.853 eV/atom. Its formation energy is -3.0051 eV/atom. The corrected total energy (MP2020 scheme) is -8.36 eV per atom.

***

> Among the records above, which one has the highest uncorrected energy?

Li17Cr2O12